Cr7FeO12: optimized geometry, GGA+U.

Total energy after the MP2020 corrections   -8.645 eV per atom
Total DFT energy (no corrections)   -7.420 eV per atom
Magnetization   25.00 μB/f.u.
Formation enthalpy at 0 K   -180.8 kJ per mole of atoms

Structure (POSCAR):
```
Cr7FeO12
1.0
9.237 -0.588 -0.108
-0.589 10.826 -0.368
-0.111 -0.440 9.680
Cr Fe O
28 4 48
Direct
0.160 0.849 0.281 Cr
0.683 0.017 0.061 Cr
0.467 0.811 0.104 Cr
0.384 0.293 0.759 Cr
0.755 0.734 0.144 Cr
0.103 0.279 0.508 Cr
0.422 0.561 0.114 Cr
0.138 0.096 0.796 Cr
0.275 0.303 0.040 Cr
0.580 0.988 0.497 Cr
0.112 0.607 0.401 Cr
0.640 0.537 0.777 Cr
0.244 0.496 0.623 Cr
0.400 0.389 0.366 Cr
0.261 0.898 0.932 Cr
0.785 0.184 0.298 Cr
0.857 0.062 0.646 Cr
0.732 0.507 0.426 Cr
0.489 0.717 0.441 Cr
0.942 0.531 0.699 Cr
0.632 0.268 0.544 Cr
0.115 0.610 0.025 Cr
0.542 0.109 0.833 Cr
0.234 0.792 0.622 Cr
0.000 0.315 0.874 Cr
0.392 0.087 0.262 Cr
0.085 0.159 0.200 Cr
0.973 0.932 0.070 Cr
0.401 0.660 0.832 Fe
0.267 0.053 0.532 Fe
0.933 0.812 0.801 Fe
0.865 0.775 0.461 Fe
0.647 0.017 0.687 O
0.116 0.667 0.221 O
0.316 0.914 0.157 O
0.938 0.130 0.823 O
0.155 0.446 0.434 O
0.320 0.333 0.565 O
0.816 0.890 0.956 O
0.983 0.241 0.348 O
0.752 0.132 0.485 O
0.822 0.656 0.775 O
0.136 0.634 0.708 O
0.888 0.885 0.634 O
0.085 0.788 0.456 O
0.133 0.038 0.019 O
0.980 0.493 0.903 O
0.416 0.486 0.777 O
0.583 0.655 0.021 O
0.654 0.874 0.182 O
0.481 0.434 0.187 O
0.584 0.260 0.732 O
0.342 0.103 0.729 O
0.493 0.958 0.966 O
0.391 0.880 0.486 O
0.777 0.637 0.295 O
0.431 0.238 0.948 O
0.701 0.148 0.951 O
0.670 0.825 0.461 O
0.429 0.695 0.250 O
0.700 0.339 0.366 O
0.949 0.849 0.227 O
0.908 0.593 0.505 O
0.186 0.035 0.333 O
0.062 0.791 0.971 O
0.310 0.695 0.010 O
0.371 0.815 0.773 O
0.735 0.438 0.619 O
0.075 0.118 0.598 O
0.047 0.380 0.668 O
0.547 0.547 0.459 O
0.471 0.133 0.461 O
0.881 0.071 0.161 O
0.137 0.910 0.762 O
0.295 0.237 0.235 O
0.241 0.480 0.063 O
0.304 0.646 0.510 O
0.063 0.282 0.070 O
0.192 0.277 0.846 O
0.596 0.104 0.215 O
```